1.
DFT (GGA+U) results for an optimized crystal structure of Mg6BWO8.

Symmetry = No. 123
Total magnetic moment = 0.187 μB/atom
Uncorrected energy = -5.934 eV/atom

abc: 8.761 4.322 4.322
angles: 90.00 90.00 90.00
Positions (direct):
Mg  0.500  0.000  0.000
Mg  0.500  0.500  0.500
Mg  0.254  0.000  0.500
Mg  0.746  0.000  0.500
Mg  0.254  0.500  0.000
Mg  0.746  0.500  0.000
B  0.000  0.500  0.500
W  0.000  0.000  0.000
O  0.251  0.000  0.000
O  0.749  0.000  0.000
O  0.268  0.500  0.500
O  0.732  0.500  0.500
O  0.000  0.000  0.500
O  0.500  0.000  0.500
O  0.000  0.500  0.000
O  0.500  0.500  0.000

2.
DFT (GGA+U) results for an optimized crystal structure of Li9Mn2Co5O16.

Symmetry = No. 1
Total magnetic moment = 0.437 μB/atom
Uncorrected energy = -5.799 eV/atom

abc: 2.989 9.899 10.015
angles: 78.23 87.67 87.38
Positions (direct):
Li  0.001  0.251  0.124
Li  0.497  0.747  0.125
Li  0.493  0.245  0.374
Li  0.995  0.750  0.372
Li  0.017  0.255  0.632
Li  0.515  0.746  0.632
Li  0.504  0.264  0.865
Li  0.990  0.748  0.878
Li  0.983  0.490  0.750
Mn  0.989  0.002  0.001
Mn  0.511  0.500  0.505
Co  0.490  0.500  0.992
Co  0.511  0.000  0.252
Co  0.012  0.503  0.248
Co  0.009  0.997  0.499
Co  0.490  0.000  0.748
O  0.526  0.116  0.074
O  0.022  0.611  0.068
O  0.041  0.116  0.318
O  0.540  0.613  0.315
O  0.491  0.113  0.567
O  0.990  0.609  0.553
O  0.974  0.115  0.817
O  0.497  0.615  0.834
O  0.472  0.393  0.179
O  0.976  0.886  0.185
O  0.029  0.396  0.434
O  0.521  0.886  0.431
O  0.499  0.382  0.672
O  0.002  0.881  0.681
O  0.960  0.385  0.945
O  0.452  0.884  0.931

3.
DFT (GGA+U) results for an optimized crystal structure of BaVOF4.

Symmetry = No. 43
Total magnetic moment = 0.143 μB/atom
Uncorrected energy = -6.217 eV/atom

abc: 14.655 14.592 5.498
angles: 79.81 78.52 21.67
Positions (direct):
Ba  0.181  0.710  0.293
Ba  0.816  0.293  0.710
Ba  0.957  0.434  0.069
Ba  0.540  0.069  0.434
V  0.426  0.919  0.584
V  0.331  0.824  0.180
V  0.070  0.584  0.919
V  0.666  0.180  0.824
O  0.468  0.438  0.691
O  0.403  0.691  0.438
O  0.812  0.782  0.847
O  0.559  0.847  0.782
F  0.555  0.883  0.284
F  0.929  0.834  0.019
F  0.130  0.273  0.563
F  0.966  0.972  0.695
F  0.035  0.563  0.273
F  0.367  0.695  0.972
F  0.687  0.215  0.120
F  0.221  0.504  0.596
F  0.977  0.120  0.215
F  0.680  0.596  0.504
F  0.416  0.321  0.032
F  0.746  0.029  0.570
F  0.231  0.032  0.321
F  0.218  0.019  0.834
F  0.654  0.570  0.029
F  0.278  0.284  0.883

4.
DFT (GGA+U) results for an optimized crystal structure of Li2MnF4.

Symmetry = No. 26
Total magnetic moment = 0.714 μB/atom
Uncorrected energy = -5.456 eV/atom

abc: 3.286 8.753 8.769
angles: 90.00 90.00 90.00
Positions (direct):
Li  0.000  0.254  0.981
Li  0.000  0.231  0.496
Li  0.000  0.754  0.019
Li  0.000  0.731  0.504
Mn  0.500  0.000  0.249
Mn  0.500  0.500  0.751
F  0.000  0.111  0.135
F  0.500  0.169  0.424
F  0.500  0.325  0.920
F  0.000  0.384  0.639
F  0.000  0.611  0.865
F  0.500  0.669  0.576
F  0.500  0.825  0.080
F  0.000  0.884  0.361

5.
DFT (GGA+U) results for an optimized crystal structure of V4OF11.

Symmetry = No. 3
Uncorrected energy = -6.230 eV/atom

abc: 5.272 7.465 5.481
angles: 93.27 90.00 90.00
Positions (direct):
V  0.506  0.488  0.500
V  0.506  0.012  0.500
V  0.000  0.501  0.000
V  0.000  0.999  0.000
O  0.571  0.250  0.500
F  0.889  0.250  0.000
F  0.804  0.552  0.303
F  0.804  0.948  0.697
F  0.699  0.948  0.200
F  0.699  0.552  0.800
F  0.414  0.750  0.500
F  0.303  0.451  0.198
F  0.303  0.049  0.802
F  0.195  0.047  0.304
F  0.195  0.453  0.696
F  0.112  0.750  0.000

6.
DFT (GGA+U) results for an optimized crystal structure of MgNiO2.

Uncorrected energy = -5.482 eV/atom

abc: 3.003 3.003 9.855
angles: 81.24 81.24 60.00
Positions (direct):
Mg  0.000  0.000  0.000
Mg  0.500  0.500  0.500
Ni  0.750  0.750  0.750
Ni  0.250  0.250  0.250
O  0.625  0.625  0.124
O  0.125  0.125  0.624
O  0.875  0.875  0.376
O  0.375  0.375  0.876

7.
DFT (GGA+U) results for an optimized crystal structure of NaFeH22C10N2O12.

Symmetry = No. 2
Total magnetic moment = 0.104 μB/atom
Uncorrected energy = -5.890 eV/atom

abc: 8.404 9.415 12.746
angles: 92.36 89.85 90.38
Positions (direct):
Na  0.769  0.746  0.753
Na  0.231  0.254  0.247
Fe  0.266  0.256  0.747
Fe  0.734  0.744  0.253
H  0.917  0.187  0.986
H  0.083  0.813  0.014
H  0.755  0.127  0.913
H  0.245  0.873  0.087
H  0.793  0.187  0.390
H  0.207  0.813  0.610
H  0.599  0.215  0.434
H  0.401  0.785  0.566
H  0.805  0.378  0.890
H  0.195  0.622  0.110
H  0.621  0.351  0.957
H  0.379  0.649  0.043
H  0.793  0.408  0.030
H  0.207  0.592  0.970
H  0.245  0.976  0.919
H  0.755  0.024  0.081
H  0.409  0.857  0.931
H  0.591  0.143  0.069
H  0.239  0.801  0.857
H  0.761  0.199  0.143
H  0.328  0.564  0.483
H  0.672  0.436  0.517
H  0.286  0.568  0.621
H  0.714  0.432  0.379
H  0.129  0.587  0.528
H  0.871  0.413  0.472
H  0.691  0.216  0.613
H  0.309  0.784  0.387
H  0.731  0.051  0.543
H  0.269  0.949  0.457
H  0.888  0.180  0.566
H  0.112  0.820  0.434
H  0.315  0.305  0.986
H  0.685  0.695  0.014
H  0.964  0.060  0.755
H  0.036  0.940  0.245
H  0.055  0.490  0.807
H  0.945  0.510  0.193
H  0.565  0.433  0.730
H  0.435  0.567  0.270
H  0.481  0.000  0.710
H  0.519  0.000  0.290
H  0.186  0.235  0.519
H  0.814  0.765  0.481
C  0.193  0.259  0.978
C  0.807  0.741  0.022
C  0.057  0.996  0.713
C  0.943  0.004  0.287
C  0.002  0.454  0.731
C  0.998  0.546  0.269
C  0.485  0.503  0.778
C  0.515  0.497  0.222
C  0.538  0.059  0.778
C  0.462  0.941  0.222
C  0.318  0.240  0.517
C  0.682  0.760  0.483
C  0.751  0.343  0.962
C  0.249  0.657  0.038
C  0.280  0.865  0.926
C  0.720  0.135  0.074
C  0.254  0.611  0.545
C  0.746  0.389  0.455
C  0.761  0.165  0.550
C  0.239  0.835  0.450
N  0.793  0.192  0.978
N  0.207  0.808  0.022
N  0.721  0.232  0.450
N  0.279  0.768  0.550
O  0.345  0.450  0.798
O  0.655  0.550  0.202
O  0.142  0.232  0.884
O  0.858  0.768  0.116
O  0.388  0.264  0.606
O  0.612  0.736  0.394
O  0.070  0.345  0.685
O  0.930  0.655  0.315
O  0.192  0.056  0.697
O  0.808  0.944  0.303
O  0.465  0.170  0.814
O  0.535  0.830  0.186
O  0.887  0.519  0.695
O  0.113  0.481  0.305
O  0.665  0.012  0.814
O  0.335  0.988  0.186
O  0.025  0.870  0.684
O  0.975  0.130  0.316
O  0.531  0.623  0.810
O  0.469  0.377  0.190
O  0.388  0.224  0.431
O  0.612  0.776  0.569
O  0.113  0.238  0.059
O  0.887  0.762  0.941

8.
DFT (GGA+U) results for an optimized crystal structure of MgTiZn2WO6.

Symmetry = No. 1
Total magnetic moment = 0.361 μB/atom
Uncorrected energy = -6.343 eV/atom

abc: 5.277 5.340 7.873
angles: 90.85 130.47 119.99
Positions (direct):
Mg  0.627  0.292  0.967
Ti  0.882  0.924  0.407
Zn  0.293  0.621  0.471
Zn  0.969  0.461  0.725
W  0.013  0.988  0.009
O  0.948  0.779  0.226
O  0.979  0.098  0.723
O  0.281  0.479  0.215
O  0.336  0.832  0.728
O  0.653  0.138  0.230
O  0.597  0.458  0.724

What did the seventh record say?
DFT (GGA+U) results for an optimized crystal structure of NaFeH22C10N2O12.

Symmetry = No. 2
Total magnetic moment = 0.104 μB/atom
Uncorrected energy = -5.890 eV/atom

abc: 8.404 9.415 12.746
angles: 92.36 89.85 90.38
Positions (direct):
Na  0.769  0.746  0.753
Na  0.231  0.254  0.247
Fe  0.266  0.256  0.747
Fe  0.734  0.744  0.253
H  0.917  0.187  0.986
H  0.083  0.813  0.014
H  0.755  0.127  0.913
H  0.245  0.873  0.087
H  0.793  0.187  0.390
H  0.207  0.813  0.610
H  0.599  0.215  0.434
H  0.401  0.785  0.566
H  0.805  0.378  0.890
H  0.195  0.622  0.110
H  0.621  0.351  0.957
H  0.379  0.649  0.043
H  0.793  0.408  0.030
H  0.207  0.592  0.970
H  0.245  0.976  0.919
H  0.755  0.024  0.081
H  0.409  0.857  0.931
H  0.591  0.143  0.069
H  0.239  0.801  0.857
H  0.761  0.199  0.143
H  0.328  0.564  0.483
H  0.672  0.436  0.517
H  0.286  0.568  0.621
H  0.714  0.432  0.379
H  0.129  0.587  0.528
H  0.871  0.413  0.472
H  0.691  0.216  0.613
H  0.309  0.784  0.387
H  0.731  0.051  0.543
H  0.269  0.949  0.457
H  0.888  0.180  0.566
H  0.112  0.820  0.434
H  0.315  0.305  0.986
H  0.685  0.695  0.014
H  0.964  0.060  0.755
H  0.036  0.940  0.245
H  0.055  0.490  0.807
H  0.945  0.510  0.193
H  0.565  0.433  0.730
H  0.435  0.567  0.270
H  0.481  0.000  0.710
H  0.519  0.000  0.290
H  0.186  0.235  0.519
H  0.814  0.765  0.481
C  0.193  0.259  0.978
C  0.807  0.741  0.022
C  0.057  0.996  0.713
C  0.943  0.004  0.287
C  0.002  0.454  0.731
C  0.998  0.546  0.269
C  0.485  0.503  0.778
C  0.515  0.497  0.222
C  0.538  0.059  0.778
C  0.462  0.941  0.222
C  0.318  0.240  0.517
C  0.682  0.760  0.483
C  0.751  0.343  0.962
C  0.249  0.657  0.038
C  0.280  0.865  0.926
C  0.720  0.135  0.074
C  0.254  0.611  0.545
C  0.746  0.389  0.455
C  0.761  0.165  0.550
C  0.239  0.835  0.450
N  0.793  0.192  0.978
N  0.207  0.808  0.022
N  0.721  0.232  0.450
N  0.279  0.768  0.550
O  0.345  0.450  0.798
O  0.655  0.550  0.202
O  0.142  0.232  0.884
O  0.858  0.768  0.116
O  0.388  0.264  0.606
O  0.612  0.736  0.394
O  0.070  0.345  0.685
O  0.930  0.655  0.315
O  0.192  0.056  0.697
O  0.808  0.944  0.303
O  0.465  0.170  0.814
O  0.535  0.830  0.186
O  0.887  0.519  0.695
O  0.113  0.481  0.305
O  0.665  0.012  0.814
O  0.335  0.988  0.186
O  0.025  0.870  0.684
O  0.975  0.130  0.316
O  0.531  0.623  0.810
O  0.469  0.377  0.190
O  0.388  0.224  0.431
O  0.612  0.776  0.569
O  0.113  0.238  0.059
O  0.887  0.762  0.941

Copy entry 3 word for word.
DFT (GGA+U) results for an optimized crystal structure of BaVOF4.

Symmetry = No. 43
Total magnetic moment = 0.143 μB/atom
Uncorrected energy = -6.217 eV/atom

abc: 14.655 14.592 5.498
angles: 79.81 78.52 21.67
Positions (direct):
Ba  0.181  0.710  0.293
Ba  0.816  0.293  0.710
Ba  0.957  0.434  0.069
Ba  0.540  0.069  0.434
V  0.426  0.919  0.584
V  0.331  0.824  0.180
V  0.070  0.584  0.919
V  0.666  0.180  0.824
O  0.468  0.438  0.691
O  0.403  0.691  0.438
O  0.812  0.782  0.847
O  0.559  0.847  0.782
F  0.555  0.883  0.284
F  0.929  0.834  0.019
F  0.130  0.273  0.563
F  0.966  0.972  0.695
F  0.035  0.563  0.273
F  0.367  0.695  0.972
F  0.687  0.215  0.120
F  0.221  0.504  0.596
F  0.977  0.120  0.215
F  0.680  0.596  0.504
F  0.416  0.321  0.032
F  0.746  0.029  0.570
F  0.231  0.032  0.321
F  0.218  0.019  0.834
F  0.654  0.570  0.029
F  0.278  0.284  0.883